Record 1
Below is a geometry-optimized Li24Ti5Cr7O36 structure, with properties calculated at the PBE+U level.

For the energy with MP2020 corrections, the calculation gives -7.1402 eV per atom. The calculation puts the energy of formation from the pure elements at -245.4 kJ/mol of atoms. The space group is P1, No. 1.

Cell lengths 5.0758, 9.8018, 13.3539 Å; angles 97.14, 100.84, 95.08 degrees
Positions (direct):
Cr  0.8922  0.7502  0.0314
Ti  0.7782  0.2498  0.3077
O  0.9966  0.6370  0.5723
Li  0.8297  0.9999  0.1677
Ti  0.1078  0.7467  0.4724
O  0.9967  0.1380  0.0684
Li  0.6230  0.5019  0.2223
Li  0.2847  0.5010  0.5547
O  0.1974  0.6376  0.0268
Li  0.1709  0.4994  0.3336
Cr  0.2256  0.7503  0.6948
O  0.9321  0.8650  0.7148
O  0.3996  0.6337  0.4518
O  0.8514  0.6379  0.3558
Li  0.2811  0.0007  0.0517
O  0.3382  0.6411  0.2385
O  0.0002  0.8620  0.9310
O  0.4043  0.1345  0.9513
Cr  0.1082  0.2499  0.9702
Li  0.1674  0.0000  0.8334
Li  0.6659  0.7497  0.5829
Ti  0.2240  0.2504  0.1933
Li  0.5065  0.0001  0.4984
Cr  0.5509  0.7501  0.3588
O  0.3356  0.3624  0.0937
Cr  0.8925  0.2505  0.5318
Cr  0.4424  0.2496  0.6354
Li  0.6657  0.2502  0.0823
O  0.5179  0.6374  0.6900
O  0.7427  0.1357  0.6166
O  0.3335  0.1378  0.7358
Li  0.9529  0.4997  0.8887
O  0.5916  0.3637  0.5505
Li  0.3338  0.7502  0.9170
O  0.2590  0.3646  0.8827
Li  0.6127  0.9980  0.7184
O  0.4765  0.3640  0.3102
Li  0.3339  0.2500  0.4177
O  0.4751  0.8627  0.8105
Li  0.3829  0.9991  0.2802
Li  0.9474  0.9995  0.3863
O  0.6650  0.3628  0.7603
O  0.8101  0.3634  0.9765
O  0.1985  0.1381  0.5258
O  0.1357  0.3614  0.6417
O  0.8612  0.1376  0.8572
O  0.2716  0.8647  0.3812
Ti  0.7779  0.7503  0.8068
Li  0.5006  0.5002  0.0002
Li  0.9992  0.2498  0.7492
Li  0.7197  0.0013  0.9483
O  0.7422  0.6362  0.1163
O  0.8085  0.8625  0.4751
O  0.5931  0.8647  0.0505
O  0.0016  0.3622  0.4315
O  0.0725  0.6351  0.7848
O  0.3338  0.8629  0.5976
Li  0.7099  0.4998  0.4450
O  0.6657  0.8619  0.2593
O  0.9318  0.3665  0.2160
O  0.5225  0.1364  0.1904
O  0.6678  0.6369  0.9062
Li  0.3798  0.5005  0.7781
Li  0.0532  0.0004  0.6154
Li  0.8332  0.4999  0.6667
O  0.0692  0.1338  0.2847
Cr  0.4443  0.7514  0.1350
O  0.1352  0.8619  0.1408
Li  0.0455  0.4965  0.1106
Ti  0.5564  0.2498  0.8606
O  0.6673  0.1380  0.4069
Li  0.9982  0.7509  0.2497

***

Record 2
Below is a geometry-optimized Li24Ti11CrO36 structure, with properties calculated at the PBE+U level.

For the energy with MP2020 corrections, the calculation gives -7.3686 eV per atom. The calculation puts the energy of formation from the pure elements at -281.5 kJ/mol of atoms. The space group is C2, No. 5.

Cell lengths 13.4777, 13.4777, 9.8125 Å; angles 88.16, 88.16, 158.18 degrees
Positions (direct):
Ti  0.0276  0.9724  0.0000
Li  0.4478  0.0555  0.7495
Li  0.5000  0.9999  0.2500
O  0.8827  0.8351  0.3874
O  0.6689  0.0495  0.3865
O  0.0021  0.7167  0.3867
O  0.0231  0.1888  0.6146
Ti  0.1941  0.8059  0.5000
Ti  0.8612  0.1388  0.5000
O  0.6858  0.5196  0.6160
Li  0.1152  0.3897  0.7499
O  0.1452  0.6451  0.3846
O  0.5213  0.6879  0.1157
O  0.7832  0.4978  0.1135
O  0.9979  0.2831  0.1134
O  0.3314  0.9500  0.1134
Li  0.0001  0.5000  0.7500
O  0.6646  0.6167  0.1136
O  0.4804  0.3142  0.3840
Li  0.2751  0.2167  0.2514
O  0.4498  0.8311  0.1134
Ti  0.3059  0.6941  0.5000
Ti  0.8059  0.1941  0.0000
O  0.1165  0.1644  0.1133
O  0.6245  0.6733  0.6116
O  0.8311  0.4498  0.6134
O  0.9787  0.8119  0.8845
Li  0.5833  0.4167  0.0000
Li  0.2500  0.7500  0.0000
O  0.8356  0.8835  0.8867
Li  0.5524  0.9445  0.7504
O  0.4979  0.7829  0.6137
Ti  0.1392  0.8608  0.0000
Li  0.3331  0.1663  0.7502
Ti  0.3610  0.6390  0.0000
Li  0.0555  0.4476  0.2496
O  0.8547  0.3546  0.1156
O  0.7169  0.0021  0.8866
Li  0.4169  0.5831  0.5000
Li  0.9167  0.0833  0.0000
Ti  0.5274  0.4726  0.5000
O  0.2171  0.5021  0.3863
O  0.2833  0.9979  0.6133
Cr  0.9718  0.0282  0.5000
Ti  0.4726  0.5274  0.0000
Ti  0.6943  0.3057  0.0000
Li  0.6103  0.8848  0.2501
Li  0.2153  0.2742  0.7502
O  0.3267  0.3755  0.3884
Li  0.7258  0.7847  0.2498
Li  0.3889  0.1145  0.2495
Li  0.7833  0.7249  0.7486
Li  0.6679  0.8340  0.7494
Li  0.9445  0.5522  0.2505
Ti  0.6390  0.3610  0.5000
Li  0.8855  0.6111  0.7505
O  0.1649  0.1173  0.6126
O  0.5502  0.1689  0.3866
Li  0.1660  0.3321  0.2506
O  0.9505  0.3311  0.6135
Li  0.7501  0.2499  0.5000
O  0.6454  0.1453  0.8844
Li  0.8337  0.6669  0.2498
O  0.8112  0.9769  0.3854
O  0.0500  0.6686  0.8866
O  0.1689  0.5502  0.8866
O  0.1881  0.0213  0.1155
O  0.3549  0.8548  0.6154
O  0.3121  0.4787  0.8843
O  0.3833  0.3354  0.8864
O  0.5022  0.2168  0.8865
Li  0.0827  0.9173  0.5000

***

Record 3
Below is a geometry-optimized Li32Ti11Cr5O48 structure, with properties calculated at the PBE+U level.

For the energy with MP2020 corrections, the calculation gives -7.2565 eV per atom. The calculation puts the energy of formation from the pure elements at -264.2 kJ/mol of atoms. The space group is P1, No. 1.

Cell lengths 5.0793, 5.0744, 38.6811 Å; angles 88.95, 91.15, 60.12 degrees
Positions (direct):
O  0.9650  0.1790  0.9659
Ti  0.7324  0.0999  0.1876
O  0.4091  0.4514  0.1596
O  0.9289  0.5715  0.7166
O  0.4465  0.4093  0.3409
Ti  0.9796  0.8552  0.9375
O  0.8142  0.6764  0.5339
Li  0.2818  0.5428  0.8746
O  0.5364  0.3172  0.5339
O  0.0716  0.4281  0.2835
O  0.4287  0.7157  0.2841
O  0.0646  0.0824  0.1593
O  0.8331  0.3136  0.5905
O  0.1840  0.9608  0.5347
O  0.3428  0.7937  0.0906
Li  0.8374  0.3418  0.5000
O  0.1962  0.3037  0.6586
O  0.4419  0.0531  0.4089
O  0.6688  0.4676  0.0344
O  0.5861  0.5589  0.8404
O  0.0584  0.4469  0.0909
O  0.2844  0.5768  0.7846
Ti  0.8510  0.9819  0.5624
Cr  0.2683  0.8984  0.8125
Li  0.4951  0.9976  0.5001
Li  0.8125  0.6870  0.4375
Li  0.0381  0.7816  0.1250
O  0.7838  0.0715  0.2840
O  0.9427  0.9109  0.8410
Li  0.4638  0.7160  0.3751
Li  0.0907  0.0867  0.2498
O  0.0665  0.7863  0.2160
Li  0.3124  0.1876  0.9375
O  0.9386  0.2082  0.7846
O  0.3221  0.1827  0.0342
O  0.6783  0.8217  0.9664
O  0.3017  0.1894  0.8411
Li  0.7491  0.7476  0.2498
O  0.1781  0.3191  0.4663
O  0.5715  0.2847  0.7160
Li  0.6242  0.8726  0.8749
Li  0.9684  0.2092  0.8750
Li  0.7876  0.0359  0.3750
O  0.8280  0.0347  0.4657
Cr  0.5234  0.6434  0.5625
Li  0.5843  0.5960  0.7501
O  0.6997  0.8048  0.1582
Ti  0.6069  0.2258  0.8126
O  0.3210  0.5342  0.9658
O  0.4645  0.6802  0.4657
Li  0.3781  0.1252  0.1250
Li  0.1664  0.6595  0.5002
Cr  0.3934  0.7732  0.1873
Li  0.9153  0.9072  0.7503
O  0.2156  0.9288  0.7160
Li  0.8717  0.6249  0.6249
Li  0.9360  0.5656  0.8125
Ti  0.0176  0.1434  0.0626
Li  0.7092  0.4682  0.1250
O  0.5549  0.9497  0.5916
O  0.0317  0.8255  0.0340
O  0.5535  0.5907  0.6592
Cr  0.3568  0.4812  0.0625
Li  0.1232  0.3728  0.3750
Li  0.5625  0.9377  0.6875
Li  0.6896  0.8144  0.0625
Ti  0.1052  0.7299  0.3125
Li  0.5321  0.2903  0.6247
O  0.6593  0.1964  0.9090
O  0.8039  0.3397  0.4093
Li  0.0606  0.4412  0.1875
Ti  0.4797  0.3549  0.4374
O  0.0907  0.0539  0.3407
Ti  0.2297  0.6046  0.6875
O  0.4262  0.0641  0.2160
Ti  0.6449  0.5196  0.9375
O  0.1599  0.7010  0.4094
Li  0.0033  0.5030  0.0001
O  0.5746  0.9294  0.7835
Li  0.4092  0.4150  0.2498
O  0.7012  0.1573  0.0912
Li  0.6595  0.1601  0.0002
O  0.9098  0.9463  0.6591
Li  0.4375  0.0625  0.3124
Ti  0.8944  0.2697  0.6875
Cr  0.1437  0.0181  0.4376
Li  0.1906  0.3110  0.5625
Li  0.2209  0.9595  0.6251
Li  0.3375  0.8374  0.0001
O  0.2021  0.6592  0.5904
O  0.9463  0.5533  0.9085
O  0.3033  0.8412  0.9091
O  0.7106  0.4340  0.2153
Ti  0.7699  0.3948  0.3124
Li  0.2501  0.2464  0.7502
O  0.8035  0.6969  0.3414

***

Record 4
Below is a geometry-optimized Li32Ti3Cr13O48 structure, with properties calculated at the PBE+U level.

For the energy with MP2020 corrections, the calculation gives -7.0372 eV per atom. The calculation puts the energy of formation from the pure elements at -229.0 kJ/mol of atoms. The space group is P1, No. 1.

Cell lengths 5.0660, 8.7244, 19.5580 Å; angles 98.26, 95.09, 89.91 degrees
Positions (direct):
Li  0.7457  0.9200  0.4994
O  0.7833  0.6423  0.1805
Li  0.7621  0.5816  0.0001
Cr  0.1178  0.9559  0.1240
Li  0.5007  0.9993  0.2498
O  0.1857  0.0380  0.8190
Ti  0.3754  0.5380  0.3732
O  0.0341  0.8927  0.9301
Li  0.7418  0.2529  0.5001
Li  0.2563  0.0793  0.0006
Li  0.4903  0.6671  0.7491
Li  0.2495  0.7492  0.0005
Cr  0.6196  0.7937  0.1241
O  0.3218  0.4640  0.1812
O  0.7137  0.8605  0.8193
Li  0.5140  0.3316  0.7498
O  0.3223  0.8257  0.1820
Li  0.0087  0.8296  0.2506
Cr  0.8702  0.7113  0.3751
O  0.0656  0.2107  0.9316
O  0.4671  0.6085  0.0689
O  0.6754  0.5331  0.3173
Li  0.2442  0.4209  0.5005
Li  0.1257  0.6250  0.1252
O  0.5651  0.0751  0.9325
Ti  0.1280  0.2891  0.6265
Cr  0.3754  0.2025  0.3748
O  0.8218  0.3228  0.1823
O  0.7167  0.8558  0.3198
O  0.4328  0.9249  0.5674
O  0.5797  0.7171  0.4312
O  0.0383  0.8976  0.4312
O  0.0703  0.5742  0.4321
Li  0.6263  0.1250  0.1248
O  0.4306  0.2864  0.5688
Li  0.3738  0.8754  0.3756
Cr  0.1222  0.9526  0.6248
Cr  0.8789  0.0470  0.3758
O  0.9277  0.4233  0.0682
O  0.8209  0.9612  0.1813
O  0.2825  0.1440  0.1806
O  0.5353  0.3906  0.4311
O  0.9662  0.1045  0.0688
O  0.9356  0.7880  0.5689
Li  0.3762  0.8750  0.8748
O  0.1866  0.0381  0.3187
Li  0.8753  0.3758  0.8753
O  0.0748  0.5713  0.9336
Li  0.9921  0.5010  0.7506
Cr  0.3734  0.2027  0.8749
Cr  0.6280  0.4620  0.6249
Li  0.2497  0.7493  0.4999
Li  0.6260  0.1257  0.6251
O  0.5771  0.7162  0.9313
Li  0.5105  0.3307  0.2497
O  0.6801  0.5361  0.8186
O  0.9296  0.7857  0.0690
Li  0.9940  0.1712  0.7505
O  0.8156  0.9599  0.6816
O  0.6840  0.1728  0.3173
Cr  0.1324  0.2935  0.1261
Li  0.8743  0.3754  0.3749
O  0.5658  0.0755  0.4323
O  0.0652  0.2121  0.4313
O  0.4631  0.6110  0.5686
Li  0.7594  0.5806  0.5002
Li  0.2414  0.4203  0.0003
Li  0.4919  0.6690  0.2493
O  0.8254  0.3210  0.6836
O  0.5367  0.3899  0.9316
O  0.9199  0.4286  0.5675
Li  0.9935  0.1712  0.2500
Li  0.2561  0.0780  0.4997
O  0.4282  0.2895  0.0690
O  0.2147  0.3535  0.8186
O  0.4284  0.9272  0.0676
Cr  0.6304  0.4571  0.1258
Li  0.9934  0.5010  0.2502
Cr  0.8740  0.0476  0.8747
Ti  0.3764  0.5390  0.8758
O  0.9645  0.1036  0.5689
Li  0.7418  0.9190  0.9999
O  0.3149  0.8250  0.6823
Cr  0.8764  0.7125  0.8754
O  0.6834  0.1743  0.8176
Li  0.1270  0.6250  0.6244
Li  0.4990  0.0004  0.7494
O  0.1696  0.6783  0.8176
Cr  0.6226  0.7975  0.6243
O  0.1740  0.6797  0.3175
O  0.2877  0.1398  0.6818
O  0.3264  0.4667  0.6812
Li  0.7471  0.2513  0.9998
O  0.7825  0.6418  0.6797
O  0.2130  0.3531  0.3181
Li  0.0074  0.8296  0.7510

***

Record 5
Below is a geometry-optimized Li4TiCrO6 structure, with properties calculated at the PBE+U level.

For the energy with MP2020 corrections, the calculation gives -7.1728 eV per atom. The calculation puts the energy of formation from the pure elements at -250.9 kJ/mol of atoms. The space group is C2, No. 5.

Cell lengths 5.0676, 5.0676, 19.4044 Å; angles 87.53, 87.53, 120.14 degrees
Positions (direct):
O  0.8867  0.9984  0.1943
O  0.0984  0.4935  0.5559
O  0.5369  0.2906  0.1920
O  0.1435  0.2493  0.4434
Li  0.3767  0.1268  0.7500
Li  0.9026  0.3311  0.1247
Li  0.5950  0.6680  0.1253
Cr  0.0443  0.4615  0.7502
O  0.7521  0.1474  0.6941
O  0.7094  0.4631  0.8080
Cr  0.7908  0.2092  0.5000
Li  0.3320  0.4050  0.8747
Cr  0.9597  0.0403  0.0000
O  0.7507  0.8565  0.5566
Ti  0.4588  0.5412  0.5000
O  0.3484  0.7447  0.8063
Li  0.0869  0.1635  0.6252
O  0.6066  0.0006  0.0565
Ti  0.7059  0.7885  0.7499
Li  0.6257  0.3743  0.0000
O  0.8526  0.2479  0.3059
O  0.9994  0.3934  0.9435
Li  0.6689  0.0974  0.8753
O  0.3963  0.5008  0.6928
Li  0.1612  0.5891  0.3753
O  0.5065  0.9016  0.4441
O  0.4637  0.2114  0.5575
Li  0.7523  0.4960  0.6249
O  0.7886  0.5363  0.4425
Cr  0.5385  0.9557  0.2498
Li  0.5040  0.2477  0.3751
O  0.0392  0.7801  0.6929
O  0.2431  0.3483  0.0561
Ti  0.2918  0.7082  0.0000
Li  0.4109  0.8388  0.6247
Li  0.9997  0.7483  0.8750
Li  0.8365  0.9131  0.3748
Ti  0.2115  0.2941  0.2501
O  0.2199  0.9608  0.3071
Li  0.8732  0.6233  0.2500
O  0.4992  0.6037  0.3072
Li  0.1240  0.8760  0.5000
O  0.2861  0.0383  0.9425
O  0.2553  0.6516  0.1937
O  0.9617  0.7139  0.0575
O  0.0016  0.1133  0.8057
Li  0.2517  0.0003  0.1250
O  0.6517  0.7569  0.9439